Here is ScPO6 after structural relaxation from the Materials Project database. Energies are from GGA-PBE.

Energy with MP2020 corrections ... -7.39 eV/atom
Size of the total moment ... 8.00 μB/cell

Lattice parameters (Å, degrees): 5.579 9.967 11.110 90.00 119.35 90.00
Space group P2_1/c (No. 14)
Asymmetric unit:
1 Sc 0.212 0.196 0.163 (multiplicity 4)
2 P 0.131 0.651 0.688 (multiplicity 4)
3 O 0.012 0.698 0.780 (multiplicity 4)
4 O 0.059 0.204 0.961 (multiplicity 4)
5 O 0.145 0.004 0.187 (multiplicity 4)
6 O 0.250 0.532 0.152 (multiplicity 4)
7 O 0.308 0.546 0.059 (multiplicity 4)
8 O 0.424 0.710 0.745 (multiplicity 4)

---

Here is CeSe2 after structural relaxation from the Materials Project database. Energies are from GGA-PBE.

Energy with MP2020 corrections ... -6.10 eV/atom
Size of the total moment ... 0.01 μB/cell

Lattice parameters (Å, degrees): 6.602 7.770 21.622 90.00 90.00 90.00
Space group Pbcn (No. 60)
Asymmetric unit:
1 Ce 0.000 0.001 0.250 (multiplicity 4)
2 Ce 0.001 0.316 0.583 (multiplicity 8)
3 Se 0.234 0.420 0.477 (multiplicity 8)
4 Se 0.242 0.063 0.644 (multiplicity 8)
5 Se 0.248 0.256 0.312 (multiplicity 8)

---

Here is Na4SrTa5O15 after structural relaxation from the Materials Project database. Energies are from GGA-PBE.

Energy with MP2020 corrections ... -8.75 eV/atom
Size of the total moment ... 0.00 μB/cell

Lattice parameters (Å, degrees): 6.897 8.884 11.285 108.70 90.48 104.53
Space group P-1 (No. 2)
Asymmetric unit:
1 Na 0.000 0.000 0.000 (multiplicity 1)
2 Na 0.000 0.000 0.500 (multiplicity 1)
3 Na 0.199 0.600 0.399 (multiplicity 2)
4 Na 0.200 0.600 0.900 (multiplicity 2)
5 Na 0.400 0.201 0.800 (multiplicity 2)
6 Sr 0.400 0.200 0.300 (multiplicity 2)
7 Ta 0.098 0.797 0.199 (multiplicity 2)
8 Ta 0.099 0.800 0.700 (multiplicity 2)
9 Ta 0.298 0.399 0.602 (multiplicity 2)
10 Ta 0.299 0.402 0.098 (multiplicity 2)
11 Ta 0.500 0.000 0.000 (multiplicity 1)
12 Ta 0.500 0.000 0.500 (multiplicity 1)
13 O 0.031 0.015 0.273 (multiplicity 2)
14 O 0.088 0.329 0.456 (multiplicity 2)
15 O 0.100 0.300 0.700 (multiplicity 2)
16 O 0.103 0.299 0.201 (multiplicity 2)
17 O 0.115 0.270 0.942 (multiplicity 2)
18 O 0.170 0.585 0.128 (multiplicity 2)
19 O 0.230 0.615 0.673 (multiplicity 2)
20 O 0.288 0.928 0.856 (multiplicity 2)
21 O 0.301 0.903 0.102 (multiplicity 2)
22 O 0.303 0.899 0.601 (multiplicity 2)
23 O 0.315 0.873 0.342 (multiplicity 2)
24 O 0.370 0.185 0.527 (multiplicity 2)
25 O 0.430 0.215 0.073 (multiplicity 2)
26 O 0.484 0.527 0.258 (multiplicity 2)
27 O 0.500 0.500 0.000 (multiplicity 1)
28 O 0.500 0.500 0.500 (multiplicity 1)

---

Here is ZrRe2 after structural relaxation from the Materials Project database. Energies are from GGA-PBE.

Lattice parameters (Å, degrees): 5.3116 5.3116 8.6918 90.00 90.00 120.00
Space group P6_3/mmc (No. 194)
Asymmetric unit:
1 Zr 0.3333 0.6667 0.0617 (multiplicity 4)
2 Re 0.0000 0.0000 0.0000 (multiplicity 2)
3 Re 0.1714 0.3427 0.7500 (multiplicity 6)

---

Here is Li2Cu5F12 after structural relaxation from the Materials Project database. Energies are from GGA-PBE.

Energy with MP2020 corrections ... -4.56 eV/atom
Size of the total moment ... 10.00 μB/cell

Lattice parameters (Å, degrees): 7.152 8.823 10.114 90.00 134.31 90.00
Space group P2/c (No. 13)
Asymmetric unit:
1 Li 0.000 0.000 0.000 (multiplicity 2)
2 Li 0.000 0.080 0.250 (multiplicity 2)
3 Cu 0.001 0.329 0.500 (multiplicity 4)
4 Cu 0.473 0.169 0.992 (multiplicity 4)
5 Cu 0.500 0.500 0.000 (multiplicity 2)
6 F 0.165 0.167 0.479 (multiplicity 4)
7 F 0.167 0.167 0.989 (multiplicity 4)
8 F 0.175 0.500 0.497 (multiplicity 4)
9 F 0.307 0.003 0.319 (multiplicity 4)
10 F 0.317 0.337 0.816 (multiplicity 4)
11 F 0.329 0.331 0.324 (multiplicity 4)

---

Here is GaP after structural relaxation from the Materials Project database. Energies are from GGA-PBE.

Distance to the lowest polymorph of the same formula ... 134 meV/atom
Size of the total moment ... 0.00 μB/cell

Lattice parameters (Å, degrees): 3.8860 3.8860 19.2924 90.00 90.00 120.00
Space group R-3m (No. 166, hexagonal axes)
Asymmetric unit:
1 Ga 0.0000 0.0000 0.0646 (multiplicity 6)
2 P 0.0000 0.0000 0.4426 (multiplicity 6)

---

Here is KMgO3 after structural relaxation from the Materials Project database. Energies are from GGA-PBE.

Energy with MP2020 corrections ... -4.96 eV/atom
Size of the total moment ... 3.00 μB/cell

Lattice parameters (Å, degrees): 4.128 4.128 4.128 90.00 90.00 90.00
Space group Pm-3m (No. 221)
Asymmetric unit:
1 K 0.000 0.000 0.000 (multiplicity 1)
2 Mg 0.500 0.500 0.500 (multiplicity 1)
3 O 0.000 0.500 0.500 (multiplicity 3)

---

Here is BaCaRu2 after structural relaxation from the Materials Project database. Energies are from GGA-PBE.

Size of the total moment ... 0.00 μB/cell

Lattice parameters (Å, degrees): 7.065 7.065 7.065 90.00 90.00 90.00
Space group F-43m (No. 216)
Asymmetric unit:
1 Ba 0.000 0.000 0.000 (multiplicity 4)
2 Ca 0.250 0.250 0.250 (multiplicity 4)
3 Ru 0.000 0.000 0.500 (multiplicity 4)
4 Ru 0.250 0.250 0.750 (multiplicity 4)

---

Here is BaYF5 after structural relaxation from the Materials Project database. Energies are from GGA-PBE.

Distance to the lowest polymorph of the same formula ... 0 meV/atom
Energy with MP2020 corrections ... -6.91 eV/atom

Lattice parameters (Å, degrees): 4.480 16.378 5.991 90.00 92.72 90.00
Space group C2/c (No. 15)
Asymmetric unit:
1 Ba 0.000 0.173 0.250 (multiplicity 4)
2 Y 0.000 0.427 0.250 (multiplicity 4)
3 F 0.000 0.117 0.750 (multiplicity 4)
4 F 0.012 0.317 0.012 (multiplicity 8)
5 F 0.226 0.466 0.592 (multiplicity 8)

---

Here is Sc2CdHg after structural relaxation from the Materials Project database. Energies are from GGA-PBE.

Distance to the lowest polymorph of the same formula ... 0 meV/atom

Lattice parameters (Å, degrees): 7.076 7.076 7.076 90.00 90.00 90.00
Space group Fm-3m (No. 225)
Asymmetric unit:
1 Sc 0.250 0.250 0.250 (multiplicity 8)
2 Cd 0.000 0.000 0.000 (multiplicity 4)
3 Hg 0.000 0.000 0.500 (multiplicity 4)

---

Here is Cd2SiO4 after structural relaxation from the Materials Project database. Energies are from GGA-PBE.

Distance to the lowest polymorph of the same formula ... 34 meV/atom
Energy with MP2020 corrections ... -6.06 eV/atom
Size of the total moment ... 0.00 μB/cell

Lattice parameters (Å, degrees): 5.867 5.867 6.734 103.64 103.64 117.30
Space group P1 (No. 1)
Asymmetric unit:
1 Cd 0.000 0.000 0.000 (multiplicity 1)
2 Cd 0.115 0.864 0.495 (multiplicity 1)
3 Cd 0.359 0.623 0.997 (multiplicity 1)
4 Cd 0.744 0.238 0.498 (multiplicity 1)
5 Si 0.433 0.556 0.500 (multiplicity 1)
6 Si 0.679 0.299 0.988 (multiplicity 1)
7 O 0.236 0.570 0.634 (multiplicity 1)
8 O 0.301 0.231 0.350 (multiplicity 1)
9 O 0.349 0.180 0.852 (multiplicity 1)
10 O 0.410 0.736 0.341 (multiplicity 1)
11 O 0.703 0.128 0.136 (multiplicity 1)
12 O 0.753 0.678 0.633 (multiplicity 1)
13 O 0.802 0.644 0.146 (multiplicity 1)
14 O 0.856 0.284 0.848 (multiplicity 1)

---

Here is Na3Al2Ge2P5SO24 after structural relaxation from the Materials Project database. Energies are from GGA-PBE.

Energy with MP2020 corrections ... -7.21 eV/atom
Size of the total moment ... 0.00 μB/cell

Lattice parameters (Å, degrees): 8.389 8.413 21.693 89.93 89.68 60.10
Space group P1 (No. 1)
Asymmetric unit:
1 Na 0.000 0.000 0.000 (multiplicity 1)
2 Na 0.002 0.361 0.750 (multiplicity 1)
3 Na 0.006 0.987 0.501 (multiplicity 1)
4 Na 0.338 0.333 0.167 (multiplicity 1)
5 Na 0.341 0.330 0.667 (multiplicity 1)
6 Na 0.368 0.995 0.250 (multiplicity 1)
7 Na 0.665 0.668 0.834 (multiplicity 1)
8 Na 0.669 0.661 0.333 (multiplicity 1)
9 Na 0.971 0.329 0.417 (multiplicity 1)
10 Al 0.336 0.332 0.313 (multiplicity 1)
11 Al 0.339 0.321 0.813 (multiplicity 1)
12 Al 0.662 0.661 0.480 (multiplicity 1)
13 Al 0.665 0.657 0.187 (multiplicity 1)
14 Al 0.665 0.658 0.687 (multiplicity 1)
15 Al 0.670 0.659 0.980 (multiplicity 1)
16 Ge 0.001 0.990 0.353 (multiplicity 1)
17 Ge 0.002 0.002 0.148 (multiplicity 1)
18 Ge 0.010 0.993 0.648 (multiplicity 1)
19 Ge 0.329 0.338 0.518 (multiplicity 1)
20 Ge 0.348 0.309 0.019 (multiplicity 1)
21 Ge 0.995 0.002 0.852 (multiplicity 1)
22 P 0.002 0.709 0.750 (multiplicity 1)
23 P 0.046 0.619 0.416 (multiplicity 1)
24 P 0.047 0.330 0.916 (multiplicity 1)
25 P 0.288 0.703 0.249 (multiplicity 1)
26 P 0.296 0.989 0.751 (multiplicity 1)
27 P 0.343 0.036 0.416 (multiplicity 1)
28 P 0.383 0.660 0.584 (multiplicity 1)
29 P 0.383 0.945 0.083 (multiplicity 1)
30 P 0.618 0.329 0.416 (multiplicity 1)
31 P 0.625 0.035 0.915 (multiplicity 1)
32 P 0.668 0.375 0.083 (multiplicity 1)
33 P 0.709 0.282 0.749 (multiplicity 1)
34 P 0.716 0.993 0.249 (multiplicity 1)
35 P 0.956 0.373 0.583 (multiplicity 1)
36 P 0.997 0.290 0.251 (multiplicity 1)
37 S 0.336 0.614 0.916 (multiplicity 1)
38 S 0.669 0.947 0.583 (multiplicity 1)
39 S 0.957 0.660 0.083 (multiplicity 1)
40 O 0.028 0.810 0.409 (multiplicity 1)
41 O 0.030 0.153 0.910 (multiplicity 1)
42 O 0.041 0.791 0.692 (multiplicity 1)
43 O 0.048 0.159 0.194 (multiplicity 1)
44 O 0.130 0.493 0.360 (multiplicity 1)
45 O 0.132 0.361 0.858 (multiplicity 1)
46 O 0.144 0.495 0.077 (multiplicity 1)
47 O 0.153 0.349 0.577 (multiplicity 1)
48 O 0.163 0.021 0.410 (multiplicity 1)
49 O 0.165 0.541 0.475 (multiplicity 1)
50 O 0.166 0.790 0.192 (multiplicity 1)
51 O 0.167 0.040 0.694 (multiplicity 1)
52 O 0.169 0.291 0.975 (multiplicity 1)
53 O 0.170 0.800 0.911 (multiplicity 1)
54 O 0.171 0.517 0.758 (multiplicity 1)
55 O 0.173 0.301 0.258 (multiplicity 1)
56 O 0.186 0.833 0.590 (multiplicity 1)
57 O 0.187 0.967 0.090 (multiplicity 1)
58 O 0.209 0.833 0.307 (multiplicity 1)
59 O 0.209 0.952 0.809 (multiplicity 1)
60 O 0.292 0.165 0.474 (multiplicity 1)
61 O 0.298 0.538 0.973 (multiplicity 1)
62 O 0.306 0.516 0.258 (multiplicity 1)
63 O 0.308 0.164 0.758 (multiplicity 1)
64 O 0.357 0.142 0.077 (multiplicity 1)
65 O 0.362 0.486 0.577 (multiplicity 1)
66 O 0.367 0.502 0.861 (multiplicity 1)
67 O 0.369 0.122 0.357 (multiplicity 1)
68 O 0.463 0.696 0.526 (multiplicity 1)
69 O 0.468 0.829 0.026 (multiplicity 1)
70 O 0.476 0.690 0.242 (multiplicity 1)
71 O 0.483 0.821 0.742 (multiplicity 1)
72 O 0.492 0.356 0.076 (multiplicity 1)
73 O 0.496 0.868 0.142 (multiplicity 1)
74 O 0.497 0.629 0.641 (multiplicity 1)
75 O 0.500 0.633 0.923 (multiplicity 1)
76 O 0.502 0.133 0.578 (multiplicity 1)
77 O 0.503 0.361 0.359 (multiplicity 1)
78 O 0.505 0.126 0.859 (multiplicity 1)
79 O 0.510 0.848 0.425 (multiplicity 1)
80 O 0.522 0.302 0.758 (multiplicity 1)
81 O 0.525 0.162 0.257 (multiplicity 1)
82 O 0.542 0.287 0.475 (multiplicity 1)
83 O 0.550 0.157 0.974 (multiplicity 1)
84 O 0.635 0.490 0.141 (multiplicity 1)
85 O 0.638 0.868 0.639 (multiplicity 1)
86 O 0.644 0.847 0.925 (multiplicity 1)
87 O 0.648 0.494 0.424 (multiplicity 1)
88 O 0.694 0.824 0.241 (multiplicity 1)
89 O 0.697 0.469 0.742 (multiplicity 1)
90 O 0.701 0.837 0.528 (multiplicity 1)
91 O 0.703 0.457 0.025 (multiplicity 1)
92 O 0.796 0.159 0.692 (multiplicity 1)
93 O 0.799 0.033 0.191 (multiplicity 1)
94 O 0.817 0.157 0.410 (multiplicity 1)
95 O 0.819 0.017 0.909 (multiplicity 1)
96 O 0.829 0.475 0.242 (multiplicity 1)
97 O 0.833 0.686 0.742 (multiplicity 1)
98 O 0.835 0.968 0.589 (multiplicity 1)
99 O 0.836 0.954 0.308 (multiplicity 1)
100 O 0.838 0.205 0.806 (multiplicity 1)
101 O 0.840 0.178 0.090 (multiplicity 1)
102 O 0.843 0.456 0.525 (multiplicity 1)
103 O 0.846 0.693 0.028 (multiplicity 1)
104 O 0.856 0.637 0.426 (multiplicity 1)
105 O 0.857 0.498 0.925 (multiplicity 1)
106 O 0.875 0.489 0.642 (multiplicity 1)
107 O 0.877 0.629 0.139 (multiplicity 1)
108 O 0.962 0.205 0.310 (multiplicity 1)
109 O 0.963 0.829 0.808 (multiplicity 1)
110 O 0.976 0.179 0.590 (multiplicity 1)
111 O 0.977 0.827 0.089 (multiplicity 1)

---

Record order is preserved below.
Volume: 134.6; 92.4; 315.5; 53.1; 228.3; 42.1; 70.3; 88.2; 109.8; 88.6; 91.8; 442.4 Å³/f.u.
Record order is preserved below.
Energy relative to the elements: -2.207; -1.794; -3.131; -0.359; -2.075; -0.276; -1.449; 0.840; -4.341; -0.358; -2.192; -2.597 eV/atom